Entry 1:
# MoH14C6N2O4F2, relaxed, DFT PBE+U
data_MoH14C6N2O4F2
_cell_length_a 12.787
_cell_length_b 8.015
_cell_length_c 11.736
_cell_angle_alpha 90.00
_cell_angle_beta 99.04
_cell_angle_gamma 90.00
_symmetry_space_group_name_H-M 'C 1 2/c 1'
_symmetry_Int_Tables_number 15
loop_
_symmetry_equiv_pos_as_xyz
'x,y,z'
'-x,-y,-z'
'-x,y,-z+1/2'
'x,-y,z+1/2'
'x+1/2,y+1/2,z'
'-x+1/2,-y+1/2,-z'
'-x+1/2,y+1/2,-z+1/2'
'x+1/2,-y+1/2,z+1/2'
loop_
_atom_site_label
_atom_site_type_symbol
_atom_site_fract_x
_atom_site_fract_y
_atom_site_fract_z
Mo1 Mo 0.000 0.056 0.250
H1 H 0.061 0.175 0.509
H2 H 0.104 0.290 0.681
H3 H 0.107 0.487 0.184
H4 H 0.136 0.336 0.997
H5 H 0.168 0.466 0.883
H6 H 0.227 0.398 0.692
H7 H 0.238 0.062 0.988
C1 C 0.088 0.281 0.462
C2 C 0.143 0.401 0.653
C3 C 0.177 0.450 0.977
N1 N 0.133 0.405 0.527
O1 O 0.071 0.079 0.849
O2 O 0.076 0.280 0.352
F1 F 0.112 0.108 0.162
# * crystal system: monoclinic
# * theoretical density: 1.75 g/cm³
# * E_form: -68 kJ/mol of atoms
# * spin magnetization: 0.0 Bohr magnetons per cell

Entry 2:
# SmCoO3, relaxed, DFT PBE+U
data_SmCoO3
_cell_length_a 5.477
_cell_length_b 7.543
_cell_length_c 5.297
_cell_angle_alpha 90.00
_cell_angle_beta 90.00
_cell_angle_gamma 90.00
_symmetry_space_group_name_H-M 'P n m a'
_symmetry_Int_Tables_number 62
loop_
_symmetry_equiv_pos_as_xyz
'x,y,z'
'-x,-y,-z'
'-x+1/2,-y,z+1/2'
'x+1/2,y,-z+1/2'
'x+1/2,-y+1/2,-z+1/2'
'-x+1/2,y+1/2,z+1/2'
'-x,y+1/2,-z'
'x,-y+1/2,z'
loop_
_atom_site_label
_atom_site_type_symbol
_atom_site_fract_x
_atom_site_fract_y
_atom_site_fract_z
Sm1 Sm 0.059 0.250 0.015
Co1 Co 0.000 0.000 0.500
O1 O 0.019 0.750 0.413
O2 O 0.207 0.546 0.796
# * crystal system: orthorhombic
# * theoretical density: 7.81 g/cm³
# * E_form: -248 kJ/mol of atoms

Entry 3:
# LiFeCuO4, relaxed, DFT PBE+U
data_LiFeCuO4
_cell_length_a 5.542
_cell_length_b 5.646
_cell_length_c 9.714
_cell_angle_alpha 90.00
_cell_angle_beta 90.00
_cell_angle_gamma 90.00
_symmetry_space_group_name_H-M 'I m m a'
_symmetry_Int_Tables_number 74
_symmetry_space_group_name_Hall '-I 2b 2'
loop_
_atom_site_label
_atom_site_type_symbol
_atom_site_fract_x
_atom_site_fract_y
_atom_site_fract_z
Li1 Li 0.000 0.250 0.145
Fe1 Fe 0.000 0.000 0.500
Cu1 Cu 0.250 0.250 0.750
O1 O 0.000 0.032 0.724
O2 O 0.225 0.250 0.488
# * crystal system: orthorhombic
# * theoretical density: 4.16 g/cm³
# * E_form: -135 kJ/mol of atoms
# * spin magnetization: 16.0 Bohr magnetons per cell

Entry 4:
# NaLiZrWO6, relaxed, DFT PBE+U
data_NaLiZrWO6
_cell_length_a 8.069
_cell_length_b 8.069
_cell_length_c 8.069
_cell_angle_alpha 90.00
_cell_angle_beta 90.00
_cell_angle_gamma 90.00
_symmetry_space_group_name_H-M 'F -4 3 m'
_symmetry_Int_Tables_number 216
_symmetry_space_group_name_Hall 'F -4 2 3'
loop_
_atom_site_label
_atom_site_type_symbol
_atom_site_fract_x
_atom_site_fract_y
_atom_site_fract_z
Na1 Na 0.000 0.000 0.000
Li1 Li 0.000 0.000 0.500
Zr1 Zr 0.250 0.250 0.250
W1 W 0.250 0.250 0.750
O1 O 0.009 0.250 0.750
# * crystal system: cubic
# * theoretical density: 5.07 g/cm³
# * E_form: -255 kJ/mol of atoms
# * spin magnetization: 0.0 Bohr magnetons per cell

Entry 5:
# KPrFeBiO6, relaxed, DFT PBE+U
data_KPrFeBiO6
_cell_length_a 8.180
_cell_length_b 8.180
_cell_length_c 8.180
_cell_angle_alpha 90.00
_cell_angle_beta 90.00
_cell_angle_gamma 90.00
_symmetry_space_group_name_H-M 'F -4 3 m'
_symmetry_Int_Tables_number 216
_symmetry_space_group_name_Hall 'F -4 2 3'
loop_
_atom_site_label
_atom_site_type_symbol
_atom_site_fract_x
_atom_site_fract_y
_atom_site_fract_z
K1 K 0.000 0.000 0.000
Pr1 Pr 0.000 0.000 0.500
Fe1 Fe 0.250 0.250 0.750
Bi1 Bi 0.250 0.250 0.250
O1 O 0.006 0.250 0.750
# * crystal system: cubic
# * theoretical density: 6.56 g/cm³
# * E_form: -192 kJ/mol of atoms
# * spin magnetization: 20.0 Bohr magnetons per cell

Entry 6:
# RbYW2O8, relaxed, DFT PBE+U
data_RbYW2O8
_cell_length_a 10.926
_cell_length_b 10.674
_cell_length_c 7.507
_cell_angle_alpha 90.00
_cell_angle_beta 130.12
_cell_angle_gamma 90.00
_symmetry_space_group_name_H-M 'C 1 2/c 1'
_symmetry_Int_Tables_number 15
loop_
_symmetry_equiv_pos_as_xyz
'x,y,z'
'-x,-y,-z'
'-x,y,-z+1/2'
'x,-y,z+1/2'
'x+1/2,y+1/2,z'
'-x+1/2,-y+1/2,-z'
'-x+1/2,y+1/2,-z+1/2'
'x+1/2,-y+1/2,z+1/2'
loop_
_atom_site_label
_atom_site_type_symbol
_atom_site_fract_x
_atom_site_fract_y
_atom_site_fract_z
Rb1 Rb 0.000 0.200 0.250
Y1 Y 0.000 0.224 0.750
W1 W 0.194 0.495 0.719
O1 O 0.020 0.390 0.966
O2 O 0.131 0.085 0.692
O3 O 0.187 0.433 0.440
O4 O 0.218 0.157 0.125
# * crystal system: monoclinic
# * theoretical density: 6.65 g/cm³
# * E_form: -257 kJ/mol of atoms
# * spin magnetization: 0.0 Bohr magnetons per cell

Entry 7:
# LiMnBO3, relaxed, DFT PBE+U
data_LiMnBO3
_cell_length_a 5.262
_cell_length_b 9.075
_cell_length_c 10.573
_cell_angle_alpha 90.00
_cell_angle_beta 92.02
_cell_angle_gamma 90.00
_symmetry_space_group_name_H-M 'C 1 c 1'
_symmetry_Int_Tables_number 9
loop_
_symmetry_equiv_pos_as_xyz
'x,y,z'
'x,-y,z+1/2'
'x+1/2,y+1/2,z'
'x+1/2,-y+1/2,z+1/2'
loop_
_atom_site_label
_atom_site_type_symbol
_atom_site_fract_x
_atom_site_fract_y
_atom_site_fract_z
Li1 Li 0.000 0.006 0.000
Li2 Li 0.322 0.014 0.250
Mn1 Mn 0.320 0.341 0.215
Mn2 Mn 0.494 0.167 0.965
B1 B 0.327 0.327 0.707
B2 B 0.491 0.169 0.457
O1 O 0.066 0.338 0.677
O2 O 0.244 0.341 0.000
O3 O 0.342 0.045 0.442
O4 O 0.386 0.308 0.426
O5 O 0.430 0.194 0.750
O6 O 0.479 0.450 0.692
# * energy relative to the lowest polymorph listed for this composition: 0.5 kJ/mol of atoms
# * crystal system: monoclinic
# * theoretical density: 3.18 g/cm³
# * E_form: -242 kJ/mol of atoms
# * spin magnetization: 0.0 Bohr magnetons per cell

Entry 8:
# Bi10Mo3O24, relaxed, DFT PBE+U
data_Bi10Mo3O24
_cell_length_a 23.939
_cell_length_b 5.743
_cell_length_c 8.853
_cell_angle_alpha 90.00
_cell_angle_beta 95.75
_cell_angle_gamma 90.00
_symmetry_space_group_name_H-M 'C 1 2 1'
_symmetry_Int_Tables_number 5
loop_
_symmetry_equiv_pos_as_xyz
'x,y,z'
'-x,y,-z'
'x+1/2,y+1/2,z'
'-x+1/2,y+1/2,-z'
loop_
_atom_site_label
_atom_site_type_symbol
_atom_site_fract_x
_atom_site_fract_y
_atom_site_fract_z
Bi1 Bi 0.037 0.000 0.324
Bi2 Bi 0.076 0.501 0.588
Bi3 Bi 0.148 0.479 0.249
Bi4 Bi 0.194 0.915 0.547
Bi5 Bi 0.238 0.471 0.812
Mo1 Mo 0.000 0.507 0.000
Mo2 Mo 0.126 0.953 0.926
O1 O 0.000 0.211 0.500
O2 O 0.000 0.730 0.500
O3 O 0.014 0.337 0.838
O4 O 0.060 0.688 0.063
O5 O 0.074 0.877 0.773
O6 O 0.104 0.263 0.406
O7 O 0.108 0.136 0.081
O8 O 0.109 0.752 0.419
O9 O 0.173 0.717 0.995
O10 O 0.174 0.134 0.831
O11 O 0.174 0.572 0.645
O12 O 0.224 0.258 0.313
O13 O 0.224 0.739 0.349
# * crystal system: monoclinic
# * theoretical density: 7.57 g/cm³
# * E_form: -175 kJ/mol of atoms